Computed, not measured: Na6CaZr3Si4S2O24 after structural relaxation at the GGA-PBE level of DFT.

```
Na6CaZr3Si4S2O24
1.0
-4.904 -0.729 7.848
9.168 -1.343 0.118
3.130 22.524 4.085
O Na Si S Zr Ca
72 18 12 6 9 3
Direct
0.497 0.160 0.918
0.893 0.356 0.637
0.195 0.986 0.200
0.973 0.811 0.094
0.014 0.820 0.415
0.326 0.837 0.576
0.504 0.665 0.578
0.791 0.978 0.689
0.003 0.219 0.305
0.328 0.487 0.070
0.703 0.169 0.753
0.831 0.540 0.028
0.137 0.477 0.578
0.017 0.190 0.912
0.307 0.834 0.249
0.155 0.674 0.071
0.855 0.482 0.422
0.635 0.148 0.422
0.182 0.184 0.807
0.871 0.541 0.748
0.535 0.856 0.475
0.463 0.157 0.530
0.699 0.552 0.523
0.817 0.991 0.804
0.674 0.534 0.249
0.500 0.869 0.362
0.449 0.293 0.023
0.976 0.176 0.586
0.176 0.201 0.693
0.861 0.314 0.532
0.838 0.025 0.095
0.710 0.161 0.029
0.527 0.693 0.249
0.509 0.368 0.420
0.016 0.209 0.200
0.993 0.799 0.802
0.780 0.784 0.305
0.850 0.360 0.920
0.499 0.398 0.134
0.791 0.806 0.200
0.551 0.686 0.970
0.466 0.140 0.249
0.797 0.809 0.911
0.521 0.651 0.866
0.134 0.635 0.363
0.326 0.862 0.972
0.166 0.985 0.912
0.592 0.088 0.137
0.183 0.023 0.589
0.626 0.513 0.635
0.019 0.809 0.697
0.903 0.501 0.137
0.217 0.996 0.305
0.156 0.466 0.969
0.630 0.507 0.918
0.318 0.463 0.478
0.512 0.833 0.753
0.353 0.872 0.857
0.839 0.822 0.587
0.467 0.303 0.754
0.481 0.094 0.643
0.141 0.674 0.478
0.520 0.836 0.070
0.171 0.713 0.752
0.131 0.485 0.856
0.188 0.163 0.093
0.176 0.191 0.415
0.860 0.325 0.249
0.808 0.986 0.414
0.166 0.473 0.250
0.363 0.501 0.363
0.296 0.480 0.753
0.652 0.670 0.087
0.669 0.333 0.327
0.396 0.020 0.749
0.660 0.313 0.834
0.020 0.343 0.085
0.335 0.666 0.165
0.028 0.706 0.572
0.712 0.682 0.415
0.330 0.293 0.926
0.992 0.350 0.758
0.651 0.967 0.591
0.000 0.993 0.998
0.379 0.674 0.671
0.966 0.290 0.411
0.332 0.339 0.586
0.320 0.028 0.414
0.328 0.985 0.084
0.000 0.994 0.491
0.626 0.967 0.417
0.336 0.969 0.915
0.959 0.624 0.084
0.366 0.031 0.586
0.033 0.377 0.914
0.662 0.030 0.085
0.667 0.636 0.582
0.034 0.657 0.419
0.335 0.376 0.418
0.704 0.994 0.751
0.293 0.300 0.751
0.373 0.338 0.081
0.008 0.306 0.251
0.299 0.992 0.251
0.964 0.333 0.584
0.626 0.664 0.917
0.693 0.702 0.251
0.009 0.714 0.751
0.002 0.014 0.855
0.997 0.000 0.650
0.003 0.001 0.146
0.332 0.668 0.318
0.338 0.673 0.815
0.342 0.675 0.516
0.673 0.321 0.983
0.323 0.670 0.016
0.654 0.337 0.479
0.665 0.331 0.180
0.000 0.999 0.350
0.654 0.333 0.687
```

## Properties
energy of formation from the pure elements	-2.8842	eV per atom
density	2.9	g/cm3
symmetry	P1 (1)